The following is a DFT calculation (PBE-GGA) of BrO3 after structural relaxation.

Cell: 3.5730 7.0036 13.2520 Å, 90.00 90.00 90.00°
Closest atoms and distances in Å follow each position.
Element x y z (fractional)
Br: 0.0000 0.0000 0.0000  2 O 1.94
Br: 0.0000 0.5000 0.5000  2 O 1.94
Br: 0.5000 0.0000 0.5000  2 O 1.94
Br: 0.5000 0.5000 0.0000  2 O 1.94
O: 0.0000 0.0000 0.4424  2 Br 1.94
O: 0.0000 0.5000 0.9424  2 Br 1.94
O: 0.1072 0.0688 0.7250  1 O 1.23
O: 0.1072 0.5688 0.2250  1 O 1.23
O: 0.3928 0.0688 0.2250  1 O 1.23
O: 0.3928 0.5688 0.7250  1 O 1.23
O: 0.5000 0.0000 0.9424  2 Br 1.94
O: 0.5000 0.5000 0.4424  2 Br 1.94
O: 0.6072 0.4312 0.7250  1 O 1.23
O: 0.6072 0.9312 0.2250  1 O 1.23
O: 0.8928 0.4312 0.2250  1 O 1.23
O: 0.8928 0.9312 0.7250  1 O 1.23

Values from the calculation:
- ΔE_f (eV/atom) = 0.113
- crystal system = orthorhombic
- spin magnetization (μB/f.u.) = 1.6